[1]
K2As2Pd: optimized geometry, PBE-GGA.

Unit cell a=8.0171 b=8.0171 c=6.0940 alpha=90.00 beta=90.00 gamma=131.56
Last column: nearest neighbours and their distance in Å.
Atoms (fractional coordinates):
As1 0.7035 0.9257 0.7500  1 As 2.44, 2 Pd 2.54
As2 0.2965 0.0743 0.2500  1 As 2.44, 2 Pd 2.54
As3 0.0743 0.2965 0.7500  1 As 2.44, 2 Pd 2.54
As4 0.9257 0.7035 0.2500  1 As 2.44, 2 Pd 2.54
K1 0.4215 0.5785 0.2500  6 As 3.46-3.71, 4 K 3.78-3.81, 4 Pd 3.80
K2 0.2059 0.7941 0.7500  2 Pd 3.37, 6 As 3.38-3.56
K3 0.7941 0.2059 0.2500  2 Pd 3.37, 6 As 3.38-3.56
K4 0.5785 0.4215 0.7500  6 As 3.46-3.71, 4 K 3.78-3.81, 4 Pd 3.80
Pd1 0.0000 0.0000 0.0000  4 As 2.54
Pd2 0.0000 0.0000 0.5000  4 As 2.54

Output
The energy of formation is -11.93 kcal/mol of atoms. Its total energy is -0.142 hartree per atom.


[2]
K2As2Pt: optimized geometry, PBE-GGA.

Unit cell a=7.8165 b=7.8165 c=6.3269 alpha=90.00 beta=90.00 gamma=130.51
Last column: nearest neighbours and their distance in Å.
Atoms (fractional coordinates):
As1 0.2979 0.0795 0.2500  1 As 2.47, 2 Pt 2.54
As2 0.0795 0.2979 0.7500  1 As 2.47, 2 Pt 2.54
As3 0.9205 0.7021 0.2500  1 As 2.47, 2 Pt 2.54
As4 0.7021 0.9205 0.7500  1 As 2.47, 2 Pt 2.54
K1 0.7960 0.2040 0.2500  2 Pt 3.30, 6 As 3.34-3.65
K2 0.2040 0.7960 0.7500  2 Pt 3.30, 6 As 3.34-3.65
K3 0.4192 0.5808 0.2500  6 As 3.38-3.78, 2 K 3.71
K4 0.5808 0.4192 0.7500  6 As 3.38-3.78, 2 K 3.71
Pt1 0.0000 0.0000 0.0000  4 As 2.54
Pt2 0.0000 0.0000 0.5000  4 As 2.54

Output
The energy of formation is -11.52 kcal/mol of atoms. Its total energy is -0.148 hartree per atom.


[3]
KAs2Rh2: optimized geometry, PBE-GGA.

Unit cell a=4.0436 b=4.0436 c=7.2523 alpha=106.19 beta=106.19 gamma=90.00
Last column: nearest neighbours and their distance in Å.
Atoms (fractional coordinates):
As1 0.6454 0.6454 0.2908  4 Rh 2.46
As2 0.3546 0.3546 0.7092  4 Rh 2.46
Rh1 0.2500 0.7500 0.5000  4 As 2.46
Rh2 0.7500 0.2500 0.5000  4 As 2.46
K1 0.0000 0.0000 0.0000  8 As 3.45

Output
The energy of formation is -14.11 kcal/mol of atoms. Its total energy is -0.207 hartree per atom.


[4]
KAs2Rh: optimized geometry, PBE-GGA.

Unit cell a=6.9136 b=6.9136 c=6.9136 alpha=145.48 beta=145.48 gamma=49.61
Last column: nearest neighbours and their distance in Å.
Atoms (fractional coordinates):
As1 0.3427 0.3427 0.0000  2 Rh 2.36
As2 0.6573 0.6573 0.0000  2 Rh 2.36
Rh1 0.2500 0.7500 0.5000  4 As 2.36
K1 0.0000 0.0000 0.0000  8 As 3.51, 4 Rh 3.75

Output
The energy of formation is -4.78 kcal/mol of atoms. The calculation puts the total magnetic moment at 0.00 μB/atom. Its total energy is -0.171 hartree per atom.


[5]
K3AsS3: optimized geometry, PBE-GGA.

Unit cell a=9.5258 b=9.5258 c=9.5258 alpha=90.00 beta=90.00 gamma=90.00
Last column: nearest neighbours and their distance in Å.
Atoms (fractional coordinates):
As1 0.2279 0.2279 0.2279  3 S 2.29
As2 0.7721 0.7279 0.2721  3 S 2.29
As3 0.7279 0.2721 0.7721  3 S 2.29
As4 0.2721 0.7721 0.7279  3 S 2.29
S1 0.7525 0.6547 0.0439  1 As 2.29
S2 0.0439 0.7525 0.6547  1 As 2.29
S3 0.5439 0.7475 0.3453  1 As 2.29
S4 0.9561 0.2525 0.8453  1 As 2.29
S5 0.2525 0.8453 0.9561  1 As 2.29
S6 0.8453 0.9561 0.2525  1 As 2.29
S7 0.6547 0.0439 0.7525  1 As 2.29
S8 0.1547 0.4561 0.2475  1 As 2.29
S9 0.7475 0.3453 0.5439  1 As 2.29
S10 0.4561 0.2475 0.1547  1 As 2.29
S11 0.2475 0.1547 0.4561  1 As 2.29
S12 0.3453 0.5439 0.7475  1 As 2.29
K1 0.9325 0.9325 0.9325  6 S 3.17-3.33
K2 0.0595 0.5595 0.9405  6 S 3.22-3.29, 1 As 3.51
K3 0.5595 0.9405 0.0595  6 S 3.22-3.29, 1 As 3.51
K4 0.5675 0.0675 0.4325  6 S 3.17-3.33
K5 0.3268 0.1732 0.8268  6 S 3.43-3.62, 1 K 3.84
K6 0.0675 0.4325 0.5675  6 S 3.17-3.33
K7 0.4325 0.5675 0.0675  6 S 3.17-3.33
K8 0.8268 0.3268 0.1732  6 S 3.43-3.62, 1 K 3.84
K9 0.6732 0.6732 0.6732  6 S 3.43-3.62, 1 K 3.84
K10 0.9405 0.0595 0.5595  6 S 3.22-3.29, 1 As 3.51
K11 0.1732 0.8268 0.3268  6 S 3.43-3.62, 1 K 3.84
K12 0.4405 0.4405 0.4405  6 S 3.22-3.29, 1 As 3.51

Output
Its piezoelectric modulus e_max is 0.048 C/m². The energy of formation is -26.94 kcal/mol of atoms. Its total energy is -0.142 hartree per atom. The energy with MP2020 corrections is -4.083 eV/atom.


[6]
K3SmAs2S8: optimized geometry, PBE-GGA.

Unit cell a=10.9774 b=10.9774 c=9.0635 alpha=77.10 beta=77.10 gamma=122.38
Last column: nearest neighbours and their distance in Å.
Atoms (fractional coordinates):
K1 0.0047 0.9953 0.7500  8 S 3.24-3.61
K2 0.7393 0.2607 0.2500  8 S 3.27-3.56
K3 0.5000 0.5000 0.5000  4 S 3.18-3.32
K4 0.5000 0.5000 0.0000  4 S 3.18-3.32
K5 0.9953 0.0047 0.2500  8 S 3.24-3.61
K6 0.2607 0.7393 0.7500  8 S 3.27-3.56
Sm1 0.7572 0.2428 0.7500  8 S 2.85-3.12
Sm2 0.2428 0.7572 0.2500  8 S 2.85-3.12
As1 0.0942 0.3428 0.3972  4 S 2.16-2.20
As2 0.9058 0.6572 0.6028  4 S 2.16-2.20
As3 0.6572 0.9058 0.1028  4 S 2.16-2.20
As4 0.3428 0.0942 0.8972  4 S 2.16-2.20
S1 0.4710 0.1254 0.0580  1 As 2.20
S2 0.1572 0.8671 0.4792  1 As 2.20
S3 0.8594 0.5033 0.8444  1 As 2.20
S4 0.1254 0.4710 0.5580  1 As 2.20
S5 0.5290 0.8746 0.9420  1 As 2.20
S6 0.1329 0.8428 0.0208  1 As 2.20
S7 0.8746 0.5290 0.4420  1 As 2.20
S8 0.7336 0.7605 0.1280  1 As 2.16
S9 0.2664 0.2395 0.8720  1 As 2.16
S10 0.2395 0.2664 0.3720  1 As 2.16
S11 0.7605 0.7336 0.6280  1 As 2.16
S12 0.8428 0.1329 0.5208  1 As 2.20
S13 0.5033 0.8594 0.3444  1 As 2.20
S14 0.8671 0.1572 0.9792  1 As 2.20
S15 0.1406 0.4967 0.1556  1 As 2.20
S16 0.4967 0.1406 0.6556  1 As 2.20

Output
The energy of formation is -27.57 kcal/mol of atoms. The calculation puts the total magnetic moment at 0.00 μB/atom. Its total energy is -0.166 hartree per atom. The energy with MP2020 corrections is -4.800 eV/atom.


[7]
K2SnAs2S6: optimized geometry, PBE-GGA.

Unit cell a=6.7850 b=6.7850 c=7.3990 alpha=90.00 beta=90.00 gamma=120.00
Last column: nearest neighbours and their distance in Å.
Atoms (fractional coordinates):
As1 0.3333 0.6667 0.0660  3 S 2.28
As2 0.6667 0.3333 0.9340  3 S 2.28
S1 0.1093 0.3384 0.2218  1 As 2.28
S2 0.7709 0.1093 0.7782  1 As 2.28
S3 0.8907 0.6616 0.7782  1 As 2.28
S4 0.3384 0.2291 0.7782  1 As 2.28
S5 0.6616 0.7709 0.2218  1 As 2.28
S6 0.2291 0.8907 0.2218  1 As 2.28
Sn1 0.0000 0.0000 0.0000  6 S 2.61
K1 0.6667 0.3333 0.3983  6 S 3.26-3.43, 1 As 3.44
K2 0.3333 0.6667 0.6017  6 S 3.26-3.43, 1 As 3.44

Output
The energy of formation is -20.13 kcal/mol of atoms. The calculation puts the total magnetic moment at 0.00 μB/atom. Its total energy is -0.157 hartree per atom. The energy with MP2020 corrections is -4.543 eV/atom.


[8]
K3AsSe4: optimized geometry, PBE-GGA.

Unit cell a=9.5947 b=10.0179 c=11.1998 alpha=90.00 beta=90.00 gamma=90.00
Last column: nearest neighbours and their distance in Å.
Atoms (fractional coordinates):
Se1 0.1528 0.9680 0.4245  1 As 2.36
Se2 0.4942 0.9062 0.2500  1 As 2.38
Se3 0.3472 0.4680 0.9245  1 As 2.36
Se4 0.8472 0.0320 0.5755  1 As 2.36
Se5 0.6528 0.5320 0.0755  1 As 2.36
Se6 0.5058 0.0938 0.7500  1 As 2.38
Se7 0.8214 0.2450 0.2500  1 As 2.36
Se8 0.6528 0.5320 0.4245  1 As 2.36
Se9 0.8472 0.0320 0.9245  1 As 2.36
Se10 0.1786 0.7550 0.7500  1 As 2.36
Se11 0.6786 0.7450 0.7500  1 As 2.36
Se12 0.1528 0.9680 0.0755  1 As 2.36
Se13 0.9942 0.5938 0.2500  1 As 2.38
Se14 0.3214 0.2550 0.2500  1 As 2.36
Se15 0.0058 0.4062 0.7500  1 As 2.38
Se16 0.3472 0.4680 0.5755  1 As 2.36
As1 0.2788 0.0230 0.2500  4 Se 2.36-2.38
As2 0.2212 0.5230 0.7500  4 Se 2.36-2.38
As3 0.7788 0.4770 0.2500  4 Se 2.36-2.38
As4 0.7212 0.9770 0.7500  4 Se 2.36-2.38
K1 0.8610 0.9154 0.2500  5 Se 3.32-3.52
K2 0.6390 0.4154 0.7500  5 Se 3.32-3.52
K3 0.5640 0.1960 0.4541  6 Se 3.32-3.69
K4 0.4360 0.8040 0.5459  6 Se 3.32-3.69
K5 0.0640 0.3040 0.0459  6 Se 3.32-3.69
K6 0.4360 0.8040 0.9541  6 Se 3.32-3.69
K7 0.3610 0.5846 0.2500  5 Se 3.32-3.52
K8 0.9360 0.6960 0.5459  6 Se 3.32-3.69
K9 0.9360 0.6960 0.9541  6 Se 3.32-3.69
K10 0.1390 0.0846 0.7500  5 Se 3.32-3.52
K11 0.5640 0.1960 0.0459  6 Se 3.32-3.69
K12 0.0640 0.3040 0.4541  6 Se 3.32-3.69

Output
The energy of formation is -24.24 kcal/mol of atoms. Its total energy is -0.131 hartree per atom. The energy with MP2020 corrections is -3.798 eV/atom.